Entry 1:
VW2O8 | PBE with a Hubbard U | optimized geometry

Properties
Offset from the most stable computed form ... 0.000 eV/f.u.
ΔH_f (0 K) ... -2.16 eV per atom
Theoretical density ... 6.66 g/cm³
Space-group type ... No. 13

Unit cell a=5.026 b=5.842 c=10.397 alpha=90.00 beta=116.77 gamma=90.00
Fractional positions:
V  0.000  0.144  0.250
V  0.000  0.856  0.750
W  0.232  0.336  0.991
W  0.232  0.664  0.491
W  0.768  0.336  0.509
W  0.768  0.664  0.009
O  0.172  0.390  0.611
O  0.172  0.610  0.111
O  0.205  0.167  0.141
O  0.205  0.833  0.641
O  0.247  0.098  0.880
O  0.247  0.902  0.380
O  0.317  0.390  0.392
O  0.317  0.610  0.892
O  0.683  0.390  0.108
O  0.683  0.610  0.608
O  0.753  0.098  0.620
O  0.753  0.902  0.120
O  0.795  0.167  0.359
O  0.795  0.833  0.859
O  0.828  0.390  0.889
O  0.828  0.610  0.389

***

Entry 2:
Rb7EuFe6P8O34 | PBE with a Hubbard U | optimized geometry

Properties
ΔH_f (0 K) ... -2.50 eV per atom
Theoretical density ... 3.64 g/cm³
Space-group type ... No. 2

Unit cell a=9.432 b=10.043 c=10.143 alpha=91.96 beta=94.09 gamma=116.32
Fractional positions:
Rb  0.000  0.000  0.000
Rb  0.126  0.975  0.375
Rb  0.177  0.439  0.904
Rb  0.427  0.791  0.658
Rb  0.573  0.209  0.342
Rb  0.823  0.561  0.096
Rb  0.874  0.025  0.625
Eu  0.000  0.500  0.500
Fe  0.335  0.095  0.754
Fe  0.344  0.423  0.277
Fe  0.344  0.892  0.034
Fe  0.656  0.108  0.966
Fe  0.656  0.577  0.723
Fe  0.665  0.905  0.246
P  0.059  0.756  0.783
P  0.288  0.333  0.573
P  0.306  0.735  0.309
P  0.411  0.232  0.038
P  0.589  0.768  0.962
P  0.694  0.265  0.691
P  0.712  0.667  0.427
P  0.941  0.244  0.217
O  0.080  0.630  0.712
O  0.117  0.273  0.217
O  0.126  0.781  0.932
O  0.146  0.904  0.712
O  0.159  0.388  0.561
O  0.210  0.714  0.429
O  0.217  0.176  0.629
O  0.242  0.803  0.199
O  0.290  0.584  0.252
O  0.318  0.220  0.900
O  0.320  0.085  0.107
O  0.336  0.311  0.432
O  0.411  0.365  0.119
O  0.413  0.732  0.972
O  0.430  0.444  0.665
O  0.433  0.006  0.877
O  0.484  0.843  0.356
O  0.516  0.157  0.644
O  0.567  0.994  0.123
O  0.570  0.556  0.335
O  0.587  0.268  0.028
O  0.589  0.635  0.881
O  0.664  0.689  0.568
O  0.680  0.915  0.893
O  0.682  0.780  0.100
O  0.710  0.416  0.748
O  0.758  0.197  0.801
O  0.783  0.824  0.371
O  0.790  0.286  0.571
O  0.841  0.612  0.439
O  0.854  0.096  0.288
O  0.874  0.219  0.068
O  0.883  0.727  0.783
O  0.920  0.370  0.288

***

Entry 3:
CdCo3P8O24 | PBE with a Hubbard U | optimized geometry

Properties
ΔH_f (0 K) ... -2.40 eV per atom
Theoretical density ... 3.35 g/cm³
Space-group type ... No. 5

Unit cell a=7.395 b=7.395 c=10.041 alpha=112.68 beta=112.68 gamma=70.56
Fractional positions:
Cd  0.000  0.000  0.000
Co  0.050  0.456  0.253
Co  0.095  0.905  0.500
Co  0.544  0.950  0.747
P  0.309  0.668  0.769
P  0.332  0.691  0.231
P  0.350  0.256  0.547
P  0.366  0.255  0.056
P  0.744  0.650  0.453
P  0.745  0.634  0.944
P  0.778  0.214  0.282
P  0.786  0.222  0.718
O  0.134  0.769  0.827
O  0.178  0.243  0.077
O  0.231  0.866  0.173
O  0.239  0.300  0.401
O  0.240  0.658  0.331
O  0.292  0.439  0.686
O  0.331  0.072  0.568
O  0.342  0.760  0.669
O  0.357  0.489  0.092
O  0.403  0.144  0.908
O  0.511  0.643  0.908
O  0.550  0.190  0.194
O  0.561  0.708  0.314
O  0.585  0.245  0.579
O  0.700  0.761  0.599
O  0.743  0.142  0.819
O  0.755  0.415  0.421
O  0.757  0.822  0.923
O  0.810  0.450  0.806
O  0.856  0.597  0.092
O  0.858  0.257  0.181
O  0.886  0.039  0.342
O  0.928  0.669  0.432
O  0.961  0.114  0.658

***

Entry 4:
CrAsO5 | PBE with a Hubbard U | optimized geometry

Properties
ΔH_f (0 K) ... -1.50 eV per atom
Theoretical density ... 3.82 g/cm³
Space-group type ... No. 19

Unit cell a=6.534 b=7.401 c=7.435 alpha=90.00 beta=90.00 gamma=90.00
Fractional positions:
Cr  0.051  0.216  0.478
Cr  0.449  0.784  0.978
Cr  0.551  0.284  0.522
Cr  0.949  0.716  0.022
As  0.244  0.418  0.870
As  0.256  0.582  0.370
As  0.744  0.082  0.130
As  0.756  0.918  0.630
O  0.035  0.448  0.389
O  0.046  0.577  0.833
O  0.198  0.264  0.022
O  0.199  0.097  0.361
O  0.221  0.677  0.144
O  0.279  0.323  0.644
O  0.301  0.903  0.861
O  0.302  0.736  0.522
O  0.454  0.423  0.333
O  0.465  0.552  0.889
O  0.535  0.052  0.611
O  0.546  0.923  0.167
O  0.698  0.236  0.978
O  0.699  0.403  0.639
O  0.721  0.823  0.856
O  0.779  0.177  0.356
O  0.801  0.597  0.139
O  0.802  0.764  0.478
O  0.954  0.077  0.667
O  0.965  0.948  0.111

***

Entry 5:
MoW11O36 | PBE with a Hubbard U | optimized geometry

Properties
ΔH_f (0 K) ... -2.15 eV per atom
Theoretical density ... 5.94 g/cm³
Space-group type ... No. 47

Unit cell a=3.861 b=7.507 c=25.997 alpha=90.00 beta=90.00 gamma=90.00
Fractional positions:
Mo  0.000  0.000  0.000
W  0.000  0.000  0.500
W  0.000  0.250  0.126
W  0.000  0.250  0.874
W  0.000  0.251  0.376
W  0.000  0.251  0.624
W  0.000  0.500  0.251
W  0.000  0.500  0.749
W  0.000  0.749  0.376
W  0.000  0.749  0.624
W  0.000  0.750  0.126
W  0.000  0.750  0.874
O  0.000  0.000  0.144
O  0.000  0.000  0.358
O  0.000  0.000  0.642
O  0.000  0.000  0.856
O  0.000  0.177  0.054
O  0.000  0.177  0.946
O  0.000  0.181  0.447
O  0.000  0.181  0.553
O  0.000  0.321  0.197
O  0.000  0.321  0.304
O  0.000  0.321  0.696
O  0.000  0.321  0.803
O  0.000  0.500  0.107
O  0.000  0.500  0.395
O  0.000  0.500  0.605
O  0.000  0.500  0.893
O  0.000  0.679  0.197
O  0.000  0.679  0.304
O  0.000  0.679  0.696
O  0.000  0.679  0.803
O  0.000  0.819  0.447
O  0.000  0.819  0.553
O  0.000  0.823  0.054
O  0.000  0.823  0.946
O  0.500  0.000  0.000
O  0.500  0.000  0.500
O  0.500  0.249  0.126
O  0.500  0.249  0.874
O  0.500  0.251  0.376
O  0.500  0.251  0.624
O  0.500  0.500  0.252
O  0.500  0.500  0.748
O  0.500  0.749  0.376
O  0.500  0.749  0.624
O  0.500  0.751  0.126
O  0.500  0.751  0.874

***

Entry 6:
MgTi4Cr2O10 | PBE with a Hubbard U | optimized geometry

Properties
Offset from the most stable computed form ... 1.222 eV/f.u.
ΔH_f (0 K) ... -2.86 eV per atom
Theoretical density ... 4.11 g/cm³
Space-group type ... No. 2

Unit cell a=5.227 b=5.886 c=7.339 alpha=72.14 beta=89.40 gamma=65.48
Fractional positions:
Mg  0.000  0.000  0.000
Ti  0.378  0.749  0.778
Ti  0.408  0.747  0.304
Ti  0.592  0.253  0.696
Ti  0.622  0.251  0.222
Cr  0.000  0.500  0.000
Cr  0.000  0.500  0.500
O  0.021  0.062  0.712
O  0.206  0.497  0.747
O  0.285  0.642  0.063
O  0.401  0.076  0.174
O  0.415  0.347  0.438
O  0.585  0.653  0.562
O  0.599  0.924  0.826
O  0.715  0.358  0.937
O  0.794  0.503  0.253
O  0.979  0.938  0.288

***

Entry 7:
VO2F3 | PBE with a Hubbard U | optimized geometry

Properties
ΔH_f (0 K) ... -1.81 eV per atom
Theoretical density ... 2.49 g/cm³
Space-group type ... No. 14

Unit cell a=5.414 b=9.841 c=7.302 alpha=90.00 beta=106.57 gamma=90.00
Fractional positions:
V  0.000  0.000  0.000
V  0.000  0.500  0.500
V  0.500  0.000  0.500
V  0.500  0.500  0.000
O  0.155  0.137  0.905
O  0.155  0.363  0.405
O  0.223  0.621  0.446
O  0.223  0.879  0.946
O  0.777  0.121  0.054
O  0.777  0.379  0.554
O  0.845  0.637  0.595
O  0.845  0.863  0.095
F  0.243  0.031  0.265
F  0.243  0.469  0.765
F  0.288  0.613  0.075
F  0.288  0.887  0.575
F  0.378  0.139  0.607
F  0.378  0.361  0.107
F  0.622  0.639  0.893
F  0.622  0.861  0.393
F  0.712  0.113  0.425
F  0.712  0.387  0.925
F  0.757  0.531  0.235
F  0.757  0.969  0.735

***

Entry 8:
LiFe4B4O12 | PBE with a Hubbard U | optimized geometry

Properties
Offset from the most stable computed form ... 0.043 eV/f.u.
ΔH_f (0 K) ... -2.23 eV per atom
Theoretical density ... 3.18 g/cm³
Space-group type ... No. 1

Unit cell a=5.239 b=5.267 c=20.110 alpha=90.48 beta=90.07 gamma=118.94
Fractional positions:
Li  0.000  0.000  0.000
Li  0.320  0.297  0.379
Fe  0.334  0.673  0.488
Fe  0.339  0.651  0.988
Fe  0.650  0.986  0.865
Fe  0.654  0.327  0.240
Fe  0.661  0.330  0.739
Fe  0.661  0.969  0.362
Fe  0.980  0.648  0.114
Fe  0.984  0.651  0.615
B  0.314  0.658  0.238
B  0.321  0.661  0.739
B  0.653  0.992  0.113
B  0.656  0.994  0.614
B  0.657  0.319  0.990
B  0.666  0.324  0.487
B  0.992  0.649  0.364
B  0.995  0.654  0.864
O  0.005  0.913  0.365
O  0.050  0.640  0.216
O  0.061  0.646  0.715
O  0.230  0.620  0.387
O  0.260  0.679  0.884
O  0.350  0.418  0.241
O  0.364  0.428  0.737
O  0.382  0.771  0.093
O  0.389  0.778  0.588
O  0.393  0.307  0.990
O  0.442  0.381  0.477
O  0.535  0.926  0.260
O  0.536  0.928  0.764
O  0.639  0.059  0.467
O  0.668  0.251  0.638
O  0.675  0.253  0.137
O  0.688  0.081  0.967
O  0.742  0.397  0.341
O  0.783  0.388  0.837
O  0.890  0.951  0.616
O  0.895  0.959  0.105
O  0.911  0.567  0.013
O  0.928  0.533  0.516
O  0.941  0.880  0.872

***

no.,V (Å³/cell),spin magnetization (μB/f.u.)
1,272.6,1.00
2,856.7,36.00
3,456.4,9.00
4,359.5,1.00
5,753.6,0.00
6,193.7,9.90
7,372.9,2.00
8,485.6,19.00